Entry 1:
The following is a DFT calculation (PBE+U) of Li4V2P3O12 after structural relaxation.

Structure (extended XYZ):
```
42
Lattice="8.432 0.000 0.000 4.108 7.370 0.000 4.155 2.445 7.816" Properties=species:S:1:pos:R:3 pbc="T T T"
Li 3.148 2.657 3.118
Li 3.132 1.980 0.689
Li 5.638 2.790 5.007
Li 6.720 5.142 2.792
Li 9.975 4.673 5.024
Li 11.057 7.025 2.809
Li 13.563 7.834 7.127
Li 13.547 7.158 4.698
V 4.182 4.921 0.474
V 8.344 7.369 3.596
V 8.350 2.446 4.220
V 12.513 4.894 7.342
P 5.346 7.690 1.912
P 7.044 5.218 5.810
P 5.918 2.454 1.959
P 10.777 7.361 5.857
P 9.651 4.597 2.006
P 11.349 2.124 5.904
O 0.889 1.053 0.619
O 5.663 4.512 6.006
O 3.922 1.840 4.737
O 5.334 6.141 1.746
O 2.668 0.820 2.305
O 7.421 5.881 7.158
O 6.831 6.250 4.658
O 4.534 3.183 1.707
O 9.916 7.284 7.119
O 6.588 3.206 3.155
O 8.131 4.200 5.438
O 11.064 8.820 5.483
O 5.631 0.995 2.333
O 8.564 5.615 2.378
O 10.107 6.609 4.661
O 6.779 2.531 0.697
O 12.161 6.631 6.109
O 9.864 3.564 3.158
O 9.274 3.934 0.658
O 14.026 8.994 5.511
O 11.361 3.673 6.070
O 12.773 7.975 3.079
O 11.032 5.303 1.811
O 15.806 8.762 7.197
```

Results
Calculated formation energy   -2.684 eV/atom

***

Entry 2:
The following is a DFT calculation (PBE+U) of Mn3FeNi2P6O24 after structural relaxation.

Structure (extended XYZ):
```
36
Lattice="4.282 2.472 6.838 -4.282 2.472 6.838 0.000 -4.944 6.838" Properties=species:S:1:pos:R:3 pbc="T T T"
Mn 0.000 0.000 0.000
Mn 0.000 0.000 4.444
Mn 0.000 0.000 10.259
Fe 0.000 0.000 14.669
Ni 0.000 0.000 7.359
Ni 0.000 0.000 17.584
P -3.039 0.311 9.073
P -1.264 -2.187 12.455
P 1.250 -2.788 9.073
P -1.262 2.188 12.455
P 1.789 2.477 9.073
P 2.526 -0.001 12.455
O -3.453 1.011 7.780
O -0.836 -1.194 5.776
O -2.809 -2.379 12.291
O -3.441 1.067 10.352
O 0.851 -3.496 7.780
O -1.483 0.169 8.900
O -0.616 1.321 5.776
O -0.851 -1.477 11.170
O 0.797 -3.514 10.352
O 0.595 -1.369 8.900
O 1.452 -0.127 5.776
O -0.862 -1.472 13.731
O -0.854 1.476 11.170
O -1.499 -0.133 16.087
O 0.887 1.200 8.900
O -0.844 1.482 13.731
O 1.705 0.001 11.170
O -0.656 3.622 12.291
O 0.865 -1.232 16.087
O 2.602 2.485 7.780
O 1.705 -0.010 13.731
O 3.465 -1.243 12.291
O 0.634 1.365 16.087
O 2.644 2.447 10.352
```

Results
Calculated formation energy   -2.264 eV/atom

***

Entry 3:
The following is a DFT calculation (PBE+U) of BaHoCo2O6 after structural relaxation.

Structure (extended XYZ):
```
20
Lattice="3.781 0.000 0.000 0.000 7.827 0.000 0.000 0.000 7.886" Properties=species:S:1:pos:R:3 pbc="T T T"
Ba 0.000 1.936 0.000
Ba 0.000 5.891 0.000
Ho 0.000 1.816 3.943
Ho 0.000 6.010 3.943
Co 1.890 0.000 2.022
Co 1.890 0.000 5.864
Co 1.890 3.913 2.034
Co 1.890 3.913 5.851
O 0.000 0.000 2.293
O 0.000 0.000 5.593
O 0.000 3.913 2.142
O 0.000 3.913 5.743
O 1.890 0.000 0.000
O 1.890 0.000 3.943
O 1.890 1.905 2.273
O 1.890 1.905 5.612
O 1.890 3.913 0.000
O 1.890 3.913 3.943
O 1.890 5.922 2.273
O 1.890 5.922 5.612
```

Results
Calculated formation energy   -2.178 eV/atom

***

Entry 4:
The following is a DFT calculation (PBE+U) of FeOF after structural relaxation.

Structure (extended XYZ):
```
24
Lattice="9.685 0.000 0.000 0.000 3.160 0.000 -0.174 0.000 9.718" Properties=species:S:1:pos:R:3 pbc="T T T"
Fe 0.000 0.000 0.000
Fe -0.073 0.000 4.267
Fe 2.309 1.580 2.155
Fe 2.414 1.580 6.984
Fe 4.264 0.000 9.530
Fe 4.375 0.000 4.479
Fe 7.069 1.580 6.993
Fe 7.330 1.580 2.119
O 0.869 1.580 0.643
O 1.382 0.000 3.069
O 3.226 0.000 1.244
O 3.197 0.000 6.053
O 3.757 1.580 3.595
O 3.674 1.580 8.483
O 8.077 0.000 1.153
O 8.553 1.580 3.678
F 0.730 1.580 5.568
F 1.207 0.000 7.912
F 5.700 1.580 0.657
F 5.694 1.580 5.578
F 6.174 0.000 3.108
F 6.159 0.000 7.922
F 8.009 0.000 6.107
F 8.458 1.580 8.395
```

Results
Calculated formation energy   -1.989 eV/atom

***

Copy entry 3 word for word.
The following is a DFT calculation (PBE+U) of BaHoCo2O6 after structural relaxation.

Structure (extended XYZ):
```
20
Lattice="3.781 0.000 0.000 0.000 7.827 0.000 0.000 0.000 7.886" Properties=species:S:1:pos:R:3 pbc="T T T"
Ba 0.000 1.936 0.000
Ba 0.000 5.891 0.000
Ho 0.000 1.816 3.943
Ho 0.000 6.010 3.943
Co 1.890 0.000 2.022
Co 1.890 0.000 5.864
Co 1.890 3.913 2.034
Co 1.890 3.913 5.851
O 0.000 0.000 2.293
O 0.000 0.000 5.593
O 0.000 3.913 2.142
O 0.000 3.913 5.743
O 1.890 0.000 0.000
O 1.890 0.000 3.943
O 1.890 1.905 2.273
O 1.890 1.905 5.612
O 1.890 3.913 0.000
O 1.890 3.913 3.943
O 1.890 5.922 2.273
O 1.890 5.922 5.612
```

Results
Calculated formation energy   -2.178 eV/atom